Record 1
DFT (PBE-GGA) results for MgCd after structural relaxation.

Structure (POSCAR):
```
MgCd
1.0
-4.997 1.327 -2.771
-3.305 -0.533 -4.817
-4.424 -5.753 1.573
Mg Cd
3 3
direct
0.006 0.006 0.996
0.386 0.386 0.724
0.330 0.330 0.335
0.665 0.665 0.669
0.051 0.051 0.386
0.727 0.727 0.056
```

Results
Formation energy from the elements: -0.06 eV/atom
SG: Cm, No. 8

***

Record 2
DFT (PBE-GGA) results for CaAl2Si2O10 after structural relaxation.

Structure (POSCAR):
```
CaAl2Si2O10
1.0
9.116 0.000 0.000
0.000 14.037 0.000
0.000 0.000 14.296
Ca Al Si O
8 16 16 80
direct
0.137 0.830 0.617
0.363 0.170 0.117
0.863 0.330 0.883
0.637 0.670 0.383
0.887 0.633 0.081
0.613 0.367 0.581
0.113 0.133 0.419
0.387 0.867 0.919
0.242 0.751 0.430
0.258 0.249 0.930
0.758 0.251 0.070
0.742 0.749 0.570
0.247 0.241 0.638
0.253 0.759 0.138
0.753 0.741 0.862
0.747 0.259 0.362
0.904 0.464 0.649
0.596 0.536 0.149
0.096 0.964 0.851
0.404 0.036 0.351
0.892 0.971 0.146
0.608 0.029 0.646
0.108 0.471 0.354
0.392 0.529 0.854
0.001 0.813 0.001
0.499 0.187 0.501
0.999 0.313 0.499
0.501 0.687 0.999
0.507 0.379 0.000
0.993 0.621 0.500
0.493 0.879 0.500
0.007 0.121 0.000
0.855 0.898 0.714
0.645 0.102 0.214
0.145 0.398 0.786
0.355 0.602 0.286
0.854 0.407 0.220
0.646 0.593 0.720
0.146 0.907 0.280
0.354 0.093 0.780
0.895 0.733 0.947
0.605 0.267 0.447
0.105 0.233 0.553
0.395 0.767 0.053
0.916 0.241 0.424
0.584 0.759 0.924
0.084 0.741 0.076
0.416 0.259 0.576
0.380 0.296 0.016
0.120 0.704 0.516
0.620 0.796 0.484
0.880 0.204 0.984
0.330 0.829 0.511
0.170 0.171 0.011
0.670 0.329 0.989
0.830 0.671 0.489
0.123 0.865 0.931
0.377 0.135 0.431
0.877 0.365 0.569
0.623 0.635 0.069
0.104 0.384 0.443
0.396 0.616 0.943
0.896 0.884 0.057
0.604 0.116 0.557
0.031 0.915 0.744
0.469 0.085 0.244
0.969 0.415 0.756
0.531 0.585 0.256
0.018 0.435 0.252
0.482 0.565 0.752
0.982 0.935 0.248
0.518 0.065 0.748
0.284 0.993 0.830
0.216 0.007 0.330
0.716 0.493 0.670
0.784 0.507 0.170
0.287 0.503 0.321
0.213 0.497 0.821
0.713 0.003 0.179
0.787 0.997 0.679
0.249 0.871 0.193
0.251 0.129 0.693
0.751 0.371 0.307
0.749 0.629 0.807
0.231 0.345 0.703
0.269 0.655 0.203
0.769 0.845 0.797
0.731 0.155 0.297
0.997 0.554 0.593
0.503 0.446 0.093
0.003 0.054 0.907
0.497 0.946 0.407
0.978 0.072 0.100
0.522 0.928 0.600
0.022 0.572 0.400
0.478 0.428 0.900
0.876 0.823 0.623
0.624 0.177 0.123
0.124 0.323 0.877
0.376 0.677 0.377
0.862 0.322 0.143
0.638 0.678 0.643
0.138 0.822 0.357
0.362 0.178 0.857
0.474 0.015 0.015
0.026 0.985 0.515
0.526 0.515 0.485
0.974 0.485 0.985
0.416 0.534 0.533
0.084 0.466 0.033
0.584 0.034 0.967
0.916 0.966 0.467
0.319 0.770 0.761
0.181 0.230 0.261
0.681 0.270 0.739
0.819 0.730 0.239
0.225 0.705 0.762
0.275 0.295 0.262
0.775 0.205 0.738
0.725 0.795 0.238
```

Results
ΔE to the lowest computed polymorph: 192 kJ/mol of formula units
Corrected total energy (MP2020 scheme): -7.231 eV/atom
Formation energy from the elements: -2.58 eV/atom
SG: P2_12_12_1, No. 19

***

Record 3
DFT (PBE-GGA) results for GaPd after structural relaxation.

Structure (POSCAR):
```
GaPd
1.0
-3.435 -0.728 3.508
-0.363 -4.764 -1.344
3.564 -1.186 3.244
Ga Pd
4 4
direct
0.407 0.907 0.593
0.907 0.593 0.407
0.593 0.407 0.907
0.093 0.093 0.093
0.108 0.608 0.892
0.608 0.892 0.108
0.892 0.108 0.608
0.392 0.392 0.392
```

Results
Formation energy from the elements: -0.66 eV/atom
SG: P2_13, No. 198